VASP calculation (r2SCAN) on an optimized crystal structure of La2SnHg.

Computed properties:
SG	Fm-3m (225)
formation enthalpy at 0 K	-0.74	eV/atom
E	-136.56	eV for the cell shown

Unit cell a=5.554 b=5.554 c=5.554 alpha=60.00 beta=60.00 gamma=60.00
Element x y z (fractional)
La: 0.250 0.250 0.250
La: 0.750 0.750 0.750
Sn: 0.000 0.000 0.000
Hg: 0.500 0.500 0.500

VASP calculation (r2SCAN) on an optimized crystal structure of LaTlHg2.

Computed properties:
SG	R-3m (166)
formation enthalpy at 0 K	-0.47	eV/atom
E	-183.54	eV for the cell shown

Unit cell a=5.339 b=5.339 c=5.339 alpha=59.81 beta=59.81 gamma=59.81
Element x y z (fractional)
La: 0.250 0.250 0.250
Tl: 0.750 0.750 0.750
Hg: 0.000 0.000 0.000
Hg: 0.500 0.500 0.500

VASP calculation (r2SCAN) on an optimized crystal structure of LiLuHg2.

Computed properties:
SG	Fm-3m (225)
formation enthalpy at 0 K	-0.47	eV/atom
E	-141.09	eV for the cell shown

Unit cell a=4.904 b=4.904 c=4.904 alpha=60.00 beta=60.00 gamma=60.00
Element x y z (fractional)
Li: 0.250 0.250 0.250
Lu: 0.750 0.750 0.750
Hg: 0.000 0.000 0.000
Hg: 0.500 0.500 0.500

VASP calculation (r2SCAN) on an optimized crystal structure of Li2MgHg.

Computed properties:
SG	F-43m (216)
formation enthalpy at 0 K	-0.30	eV/atom
E	-59.52	eV for the cell shown

Unit cell a=4.673 b=4.673 c=4.673 alpha=60.00 beta=60.00 gamma=60.00
Element x y z (fractional)
Li: 0.500 0.500 0.500
Li: 0.750 0.750 0.750
Mg: 0.250 0.250 0.250
Hg: 0.000 0.000 0.000

VASP calculation (r2SCAN) on an optimized crystal structure of LiHg2Pd.

Computed properties:
SG	Fm-3m (225)
formation enthalpy at 0 K	-0.32	eV/atom
E	-125.38	eV for the cell shown

Unit cell a=4.643 b=4.643 c=4.643 alpha=60.00 beta=60.00 gamma=60.00
Element x y z (fractional)
Li: 0.250 0.250 0.250
Hg: 0.000 0.000 0.000
Hg: 0.500 0.500 0.500
Pd: 0.750 0.750 0.750

VASP calculation (r2SCAN) on an optimized crystal structure of LiPrHg2.

Computed properties:
SG	Fm-3m (225)
formation enthalpy at 0 K	-0.51	eV/atom
E	-132.57	eV for the cell shown

Unit cell a=5.145 b=5.145 c=5.145 alpha=60.00 beta=60.00 gamma=60.00
Element x y z (fractional)
Li: 0.250 0.250 0.250
Pr: 0.750 0.750 0.750
Hg: 0.000 0.000 0.000
Hg: 0.500 0.500 0.500

VASP calculation (r2SCAN) on an optimized crystal structure of LiThHg2.

Computed properties:
SG	Fm-3m (225)
formation enthalpy at 0 K	-0.34	eV/atom
E	-175.96	eV for the cell shown

Unit cell a=5.144 b=5.144 c=5.144 alpha=60.00 beta=60.00 gamma=60.00
Element x y z (fractional)
Li: 0.500 0.500 0.500
Th: 0.000 0.000 0.000
Hg: 0.250 0.250 0.250
Hg: 0.750 0.750 0.750

VASP calculation (r2SCAN) on an optimized crystal structure of LiTmHg2.

Computed properties:
SG	Fm-3m (225)
formation enthalpy at 0 K	-0.49	eV/atom
E	-138.20	eV for the cell shown

Unit cell a=4.927 b=4.927 c=4.927 alpha=60.00 beta=60.00 gamma=60.00
Element x y z (fractional)
Li: 0.250 0.250 0.250
Tm: 0.750 0.750 0.750
Hg: 0.000 0.000 0.000
Hg: 0.500 0.500 0.500

VASP calculation (r2SCAN) on an optimized crystal structure of LuMgHg2.

Computed properties:
SG	Fm-3m (225)
formation enthalpy at 0 K	-0.47	eV/atom
E	-142.85	eV for the cell shown

Unit cell a=4.967 b=4.967 c=4.967 alpha=60.00 beta=60.00 gamma=60.00
Element x y z (fractional)
Lu: 0.250 0.250 0.250
Mg: 0.750 0.750 0.750
Hg: 0.000 0.000 0.000
Hg: 0.500 0.500 0.500

VASP calculation (r2SCAN) on an optimized crystal structure of TbLuHg2.

Computed properties:
SG	Fm-3m (225)
formation enthalpy at 0 K	-0.57	eV/atom
E	-170.31	eV for the cell shown

Unit cell a=5.179 b=5.179 c=5.179 alpha=60.00 beta=60.00 gamma=60.00
Element x y z (fractional)
Tb: 0.750 0.750 0.750
Lu: 0.250 0.250 0.250
Hg: 0.000 0.000 0.000
Hg: 0.500 0.500 0.500

VASP calculation (r2SCAN) on an optimized crystal structure of YbLuHg2.

Computed properties:
SG	Fm-3m (225)
formation enthalpy at 0 K	-0.56	eV/atom
E	-175.60	eV for the cell shown

Unit cell a=5.118 b=5.118 c=5.118 alpha=60.00 beta=60.00 gamma=60.00
Element x y z (fractional)
Yb: 0.000 0.000 0.000
Lu: 0.500 0.500 0.500
Hg: 0.250 0.250 0.250
Hg: 0.750 0.750 0.750

VASP calculation (r2SCAN) on an optimized crystal structure of MgHg2.

Computed properties:
SG	C2/m (12)
formation enthalpy at 0 K	-0.11	eV/atom
E	-206.44	eV for the cell shown

Unit cell a=6.593 b=6.593 c=6.641 alpha=68.91 beta=68.91 gamma=29.91
Element x y z (fractional)
Mg: 0.139 0.139 0.459
Mg: 0.861 0.861 0.541
Hg: 0.193 0.193 0.849
Hg: 0.807 0.807 0.151
Hg: 0.527 0.527 0.212
Hg: 0.473 0.473 0.788

VASP calculation (r2SCAN) on an optimized crystal structure of Mg5Hg.

Computed properties:
SG	P-62m (189)
formation enthalpy at 0 K	-0.07	eV/atom
energy above the lowest structure with this stoichiometry	0.000	eV/atom
E	-70.66	eV for the cell shown

Unit cell a=5.389 b=5.389 c=5.071 alpha=90.00 beta=90.00 gamma=120.00
Element x y z (fractional)
Mg: 0.327 0.000 0.500
Mg: 0.673 0.673 0.500
Mg: 0.000 0.327 0.500
Mg: 0.333 0.667 0.000
Mg: 0.667 0.333 0.000
Hg: 0.000 0.000 0.000

VASP calculation (r2SCAN) on an optimized crystal structure of Mg3Hg.

Computed properties:
SG	R32 (155)
formation enthalpy at 0 K	-0.13	eV/atom
E	-374.37	eV for the cell shown

Unit cell a=9.961 b=9.961 c=9.961 alpha=48.96 beta=48.96 gamma=48.96
Element x y z (fractional)
Mg: 0.084 0.329 0.756
Mg: 0.864 0.864 0.864
Mg: 0.033 0.770 0.523
Mg: 0.444 0.444 0.444
Mg: 0.329 0.756 0.084
Mg: 0.244 0.671 0.916
Mg: 0.230 0.967 0.477
Mg: 0.523 0.033 0.770
Mg: 0.770 0.523 0.033
Mg: 0.679 0.679 0.679
Mg: 0.756 0.084 0.329
Mg: 0.671 0.916 0.244
Mg: 0.136 0.136 0.136
Mg: 0.967 0.477 0.230
Mg: 0.556 0.556 0.556
Mg: 0.477 0.230 0.967
Mg: 0.916 0.244 0.671
Mg: 0.321 0.321 0.321
Hg: 0.820 0.180 0.500
Hg: 0.330 0.000 0.670
Hg: 0.670 0.330 0.000
Hg: 0.000 0.670 0.330
Hg: 0.180 0.500 0.820
Hg: 0.500 0.820 0.180

VASP calculation (r2SCAN) on an optimized crystal structure of Mg3Hg.

Computed properties:
SG	Pm-3m (221)
formation enthalpy at 0 K	-0.14	eV/atom
E	-62.43	eV for the cell shown

Unit cell a=4.355 b=4.355 c=4.355 alpha=90.00 beta=90.00 gamma=90.00
Element x y z (fractional)
Mg: 0.500 0.500 0.000
Mg: 0.500 0.000 0.500
Mg: 0.000 0.500 0.500
Hg: 0.000 0.000 0.000

VASP calculation (r2SCAN) on an optimized crystal structure of Mg3Hg.

Computed properties:
SG	P6_3/mmc (194)
formation enthalpy at 0 K	-0.14	eV/atom
E	-124.87	eV for the cell shown

Unit cell a=4.829 b=4.829 c=8.578 alpha=90.00 beta=90.00 gamma=120.00
Element x y z (fractional)
Mg: 0.333 0.667 0.921
Mg: 0.667 0.333 0.421
Mg: 0.000 0.000 0.250
Mg: 0.000 0.000 0.750
Mg: 0.333 0.667 0.579
Mg: 0.667 0.333 0.079
Hg: 0.667 0.333 0.750
Hg: 0.333 0.667 0.250

VASP calculation (r2SCAN) on an optimized crystal structure of MgHg2.

Computed properties:
SG	I4/mmm (139)
formation enthalpy at 0 K	-0.12	eV/atom
E	-103.26	eV for the cell shown

Unit cell a=3.858 b=3.858 c=5.175 alpha=111.89 beta=111.89 gamma=90.00
Element x y z (fractional)
Mg: 0.000 0.000 0.000
Hg: 0.667 0.667 0.333
Hg: 0.333 0.333 0.667

VASP calculation (r2SCAN) on an optimized crystal structure of MgHg2.

Computed properties:
SG	C2/m (12)
formation enthalpy at 0 K	-0.12	eV/atom
E	-206.50	eV for the cell shown

Unit cell a=6.302 b=6.302 c=6.699 alpha=73.97 beta=73.97 gamma=30.92
Element x y z (fractional)
Mg: 0.004 0.004 0.749
Mg: 0.996 0.996 0.251
Hg: 0.656 0.656 0.924
Hg: 0.344 0.344 0.076
Hg: 0.657 0.657 0.416
Hg: 0.343 0.343 0.584

VASP calculation (r2SCAN) on an optimized crystal structure of Mg2Hg.

Computed properties:
SG	Pnma (62)
formation enthalpy at 0 K	-0.22	eV/atom
E	-233.43	eV for the cell shown

Unit cell a=4.632 b=6.163 c=8.765 alpha=90.00 beta=90.00 gamma=90.00
Element x y z (fractional)
Mg: 0.250 0.958 0.707
Mg: 0.750 0.042 0.293
Mg: 0.250 0.458 0.793
Mg: 0.750 0.542 0.207
Mg: 0.750 0.176 0.940
Mg: 0.250 0.824 0.060
Mg: 0.750 0.676 0.560
Mg: 0.250 0.324 0.440
Hg: 0.250 0.784 0.384
Hg: 0.750 0.216 0.616
Hg: 0.250 0.284 0.116
Hg: 0.750 0.716 0.884

VASP calculation (r2SCAN) on an optimized crystal structure of Mg5Hg.

Computed properties:
SG	Cm (8)
formation enthalpy at 0 K	-0.06	eV/atom
energy above the lowest structure with this stoichiometry	0.014	eV/atom
E	-70.58	eV for the cell shown

Unit cell a=5.955 b=5.955 c=7.239 alpha=75.90 beta=75.90 gamma=31.61
Element x y z (fractional)
Mg: 0.279 0.279 0.944
Mg: 0.667 0.667 0.669
Mg: 0.952 0.952 0.596
Mg: 0.323 0.323 0.336
Mg: 0.002 0.002 0.011
Hg: 0.610 0.610 0.277